Material: Li3MnVP3O12
Method: DFT, GGA+U
State: optimized geometry

Cell lengths 8.660, 8.677, 12.635 Å; angles 105.56, 106.00, 95.61 degrees
Fractional coordinates of all 80 atoms:
Li (0.000, 0.000, 0.000)
Li (0.000, 0.001, 0.502)
Li (0.290, 0.707, 0.251)
Li (0.291, 0.700, 0.750)
Li (0.291, 0.707, 0.500)
Li (0.293, 0.713, 0.998)
Li (0.575, 0.415, 0.747)
Li (0.579, 0.419, 0.251)
Li (0.788, 0.206, 0.125)
Li (0.789, 0.207, 0.623)
Li (0.789, 0.207, 0.875)
Li (0.791, 0.210, 0.376)
Mn (0.232, 0.337, 0.809)
Mn (0.347, 0.084, 0.440)
Mn (0.348, 0.076, 0.938)
Mn (0.916, 0.652, 0.561)
V (0.233, 0.331, 0.306)
V (0.668, 0.764, 0.694)
V (0.669, 0.762, 0.196)
V (0.910, 0.651, 0.056)
P (0.003, 0.998, 0.250)
P (0.004, 0.998, 0.749)
P (0.149, 0.374, 0.055)
P (0.154, 0.373, 0.559)
P (0.429, 0.046, 0.192)
P (0.431, 0.042, 0.692)
P (0.574, 0.416, 0.000)
P (0.578, 0.421, 0.500)
P (0.622, 0.841, 0.441)
P (0.627, 0.838, 0.943)
P (0.951, 0.568, 0.309)
P (0.954, 0.576, 0.807)
O (0.025, 0.172, 0.239)
O (0.025, 0.882, 0.638)
O (0.029, 0.883, 0.142)
O (0.031, 0.171, 0.737)
O (0.116, 0.974, 0.862)
O (0.116, 0.978, 0.364)
O (0.130, 0.557, 0.075)
O (0.134, 0.550, 0.322)
O (0.137, 0.567, 0.822)
O (0.145, 0.557, 0.580)
O (0.235, 0.323, 0.959)
O (0.239, 0.319, 0.464)
O (0.275, 0.368, 0.168)
O (0.278, 0.364, 0.674)
O (0.305, 0.045, 0.075)
O (0.308, 0.045, 0.577)
O (0.337, 0.106, 0.285)
O (0.342, 0.092, 0.786)
O (0.437, 0.852, 0.420)
O (0.443, 0.847, 0.928)
O (0.447, 0.864, 0.179)
O (0.450, 0.859, 0.675)
O (0.464, 0.439, 0.886)
O (0.466, 0.446, 0.389)
O (0.547, 0.241, 0.010)
O (0.547, 0.532, 0.107)
O (0.551, 0.531, 0.610)
O (0.553, 0.243, 0.507)
O (0.589, 0.164, 0.228)
O (0.591, 0.162, 0.728)
O (0.630, 0.716, 0.828)
O (0.632, 0.716, 0.329)
O (0.678, 0.759, 0.538)
O (0.692, 0.753, 0.039)
O (0.738, 0.002, 0.475)
O (0.740, 0.001, 0.977)
O (0.751, 0.442, 0.993)
O (0.755, 0.447, 0.493)
O (0.827, 0.970, 0.260)
O (0.829, 0.974, 0.760)
O (0.833, 0.409, 0.273)
O (0.841, 0.413, 0.773)
O (0.888, 0.663, 0.712)
O (0.892, 0.660, 0.216)
O (0.949, 0.698, 0.921)
O (0.955, 0.691, 0.426)
O (0.990, 0.254, 0.021)
O (0.992, 0.257, 0.524)

Calculated values
- calculated volume (Å³ per atom) = 10.80
- theoretical density (g/cm³) = 3.16
- offset from the most stable computed form (eV per atom) = 0.042
- ΔE_f (eV/f.u.) = -52.3